# 1
Computed, not measured: a relaxed Ho2CuTc crystal at the PBE level of DFT.

abc: 4.8529 4.8529 4.8529
angles: 60.00 60.00 60.00
With the nearest neighbours (Å) after each atom.
Positions (direct):
Cu  0.5000  0.5000  0.5000  8 Ho 2.97
Ho  0.7500  0.7500  0.7500  4 Tc 2.97, 4 Cu 2.97
Tc  0.0000  0.0000  0.0000  8 Ho 2.97
Ho  0.2500  0.2500  0.2500  4 Tc 2.97, 4 Cu 2.97

## Properties
**E_form**: -0.117 eV/atom
**Uncorrected energy**: -0.221 hartree per atom
**Symmetry**: Fm-3m

=====

# 2
Computed, not measured: a relaxed HoTmCu2 crystal at the PBE level of DFT.

abc: 4.8480 4.8480 4.8480
angles: 60.00 60.00 60.00
With the nearest neighbours (Å) after each atom.
Positions (direct):
Ho  0.5000  0.5000  0.5000  8 Cu 2.97
Cu  0.7500  0.7500  0.7500  4 Tm 2.97, 4 Ho 2.97
Cu  0.2500  0.2500  0.2500  4 Ho 2.97, 4 Tm 2.97
Tm  0.0000  0.0000  0.0000  8 Cu 2.97

## Properties
**E_form**: -0.274 eV/atom
**Uncorrected energy**: -0.169 hartree per atom
**Symmetry**: Fm-3m

=====

The highest E_form belongs to which entry?
Ho2CuTc

=====

The highest uncorrected energy belongs to which entry?
HoTmCu2

=====

Copy entry 1 word for word.
Computed, not measured: a relaxed Ho2CuTc crystal at the PBE level of DFT.

abc: 4.8529 4.8529 4.8529
angles: 60.00 60.00 60.00
With the nearest neighbours (Å) after each atom.
Positions (direct):
Cu  0.5000  0.5000  0.5000  8 Ho 2.97
Ho  0.7500  0.7500  0.7500  4 Tc 2.97, 4 Cu 2.97
Tc  0.0000  0.0000  0.0000  8 Ho 2.97
Ho  0.2500  0.2500  0.2500  4 Tc 2.97, 4 Cu 2.97

## Properties
**E_form**: -0.117 eV/atom
**Uncorrected energy**: -0.221 hartree per atom
**Symmetry**: Fm-3m

=====

The lowest uncorrected energy belongs to which entry?
Ho2CuTc